Here is an optimized crystal structure of CaB2O4 from the Materials Project database. Energies are from PBE-GGA.

abc: 6.4468 11.4319 11.4662
angles: 90.00 90.00 90.00
Last column: nearest neighbours and their distance in Å.
Fractional coordinates of all 84 atoms:
O 0.1361 0.9465 0.4564  1 B 1.39
O 0.9668 0.0115 0.8544  2 B 1.45-1.46
O 0.7060 0.1638 0.8266  2 B 1.50
O 0.3285 0.2558 0.9537  1 B 1.35
O 0.4778 0.9682 0.1501  1 B 1.36
O 0.7013 0.3327 0.2125  2 B 1.46-1.48
O 0.3010 0.5304 0.0064  1 B 1.38
O 0.6990 0.0304 0.9936  1 B 1.38
O 0.5332 0.0115 0.3544  2 B 1.45-1.46
O 0.6964 0.5440 0.2345  2 B 1.45-1.46
O 0.9781 0.2985 0.8934  2 B 1.45-1.52
O 0.8036 0.5440 0.7345  2 B 1.45-1.46
O 0.0222 0.9682 0.6501  1 B 1.36
O 0.0314 0.1728 0.7180  2 B 1.47
O 0.5222 0.4682 0.8499  1 B 1.36
O 0.1990 0.5304 0.5064  1 B 1.38
O 0.2060 0.6638 0.6734  2 B 1.50
O 0.3639 0.9465 0.9564  1 B 1.39
O 0.2987 0.8327 0.7875  2 B 1.46-1.48
O 0.8639 0.4465 0.5436  1 B 1.39
O 0.1715 0.2558 0.4537  1 B 1.35
O 0.0310 0.2001 0.0721  1 B 1.37
O 0.3764 0.4500 0.2010  2 B 1.47
O 0.8010 0.0304 0.4936  1 B 1.38
O 0.4686 0.1728 0.2180  2 B 1.47
O 0.8285 0.7558 0.5463  1 B 1.35
O 0.6236 0.9500 0.7990  2 B 1.47
O 0.5314 0.6728 0.7820  2 B 1.47
O 0.9690 0.7001 0.9279  1 B 1.37
O 0.4690 0.2001 0.5721  1 B 1.37
O 0.1236 0.4500 0.7010  2 B 1.47
O 0.2940 0.6638 0.1734  2 B 1.50
O 0.6361 0.4465 0.0436  1 B 1.39
O 0.3036 0.0440 0.7655  2 B 1.45-1.46
O 0.4668 0.5115 0.6456  2 B 1.45-1.46
O 0.5310 0.7001 0.4279  1 B 1.37
O 0.7987 0.3327 0.7125  2 B 1.46-1.48
O 0.9686 0.6728 0.2820  2 B 1.47
O 0.0332 0.5115 0.1456  2 B 1.45-1.46
O 0.2013 0.8327 0.2875  2 B 1.46-1.48
O 0.7940 0.1638 0.3266  2 B 1.50
O 0.8764 0.9500 0.2990  2 B 1.47
O 0.0219 0.7985 0.1066  2 B 1.45-1.52
O 0.9778 0.4682 0.3499  1 B 1.36
O 0.1964 0.0440 0.2655  2 B 1.45-1.46
O 0.5219 0.2985 0.3934  2 B 1.45-1.52
O 0.4781 0.7985 0.6066  2 B 1.45-1.52
O 0.6715 0.7558 0.0463  1 B 1.35
Ca 0.8411 0.2347 0.5325  7 O 2.33-2.56
Ca 0.8873 0.7792 0.7466  4 O 2.33-2.58
Ca 0.3873 0.2792 0.7534  4 O 2.33-2.58
Ca 0.3411 0.7347 0.9675  7 O 2.33-2.56
Ca 0.1127 0.2792 0.2534  4 O 2.33-2.58
Ca 0.6127 0.7792 0.2466  4 O 2.33-2.58
Ca 0.9493 0.5014 0.9276  5 O 2.28-2.50
Ca 0.0507 0.0014 0.0724  5 O 2.28-2.50
Ca 0.1589 0.7347 0.4675  7 O 2.33-2.56
Ca 0.4493 0.0014 0.5724  5 O 2.28-2.50
Ca 0.6589 0.2347 0.0325  7 O 2.33-2.56
Ca 0.5507 0.5014 0.4276  5 O 2.28-2.50
B 0.6188 0.2401 0.2875  4 O 1.46-1.52
B 0.7531 0.0394 0.3597  4 O 1.45-1.57
B 0.7469 0.0394 0.8597  4 O 1.45-1.57
B 0.3812 0.7401 0.7125  4 O 1.46-1.52
B 0.1233 0.2476 0.9750  3 O 1.35-1.45
B 0.8997 0.4441 0.6779  4 O 1.45-1.56
B 0.0796 0.0510 0.7507  4 O 1.46-1.54
B 0.4819 0.4799 0.9661  3 O 1.36-1.39
B 0.0181 0.4799 0.4661  3 O 1.36-1.39
B 0.2531 0.5394 0.1403  4 O 1.45-1.57
B 0.8812 0.2401 0.7875  4 O 1.46-1.52
B 0.3767 0.2476 0.4750  3 O 1.35-1.45
B 0.9204 0.5510 0.2493  4 O 1.46-1.54
B 0.5796 0.5510 0.7493  4 O 1.46-1.54
B 0.4204 0.0510 0.2507  4 O 1.46-1.54
B 0.5181 0.9799 0.0339  3 O 1.36-1.39
B 0.8767 0.7476 0.0250  3 O 1.35-1.45
B 0.1003 0.9441 0.3221  4 O 1.45-1.56
B 0.9819 0.9799 0.5339  3 O 1.36-1.39
B 0.3997 0.9441 0.8221  4 O 1.45-1.56
B 0.6233 0.7476 0.5250  3 O 1.35-1.45
B 0.6003 0.4441 0.1779  4 O 1.45-1.56
B 0.1188 0.7401 0.2125  4 O 1.46-1.52
B 0.2469 0.5394 0.6403  4 O 1.45-1.57

Summary:
SG: Pna2_1 (33)
Crystal system: orthorhombic
Offset from the most stable computed form, meV/atom: 16.9
Formation energy, meV/atom: -3112
Final energy, eV per formula unit: -54.190